No. 1
VASP calculation (PBE with a Hubbard U) on crystalline K2MgCo2O4 at its relaxed geometry.

Properties
- energy of formation from the pure elements (eV/atom) = -1.611
- polymorph energy (0 for the lowest one) (meV per atom) = 18
- total energy (eV per atom) = -5.145
- E (MP2020) (eV for the cell shown) = -52.33
- total magnetic moment (Bohr magnetons per cell) = 6.0

a = 6.810 Å, b = 6.206 Å, c = 6.129 Å
α = 95.00°, β = 129.31°, γ = 109.52°
Positions (direct):
1 K 0.595 0.292 0.619
2 K 0.160 0.607 0.550
3 O 0.651 0.848 0.630
4 O 0.033 0.973 0.415
5 O 0.147 0.401 0.895
6 O 0.224 0.938 0.061
7 Co 0.339 0.700 0.186
8 Co 0.918 0.903 0.052
9 Mg 0.028 0.053 0.723

---

No. 2
VASP calculation (PBE with a Hubbard U) on crystalline Li4V3Ni2Sb3O16 at its relaxed geometry.

Properties
- energy of formation from the pure elements (eV/atom) = -2.084
- total energy (eV per atom) = -6.257
- E (MP2020) (eV for the cell shown) = -196.37
- total magnetic moment (Bohr magnetons per cell) = 6.0

a = 6.139 Å, b = 6.139 Å, c = 9.811 Å
α = 89.59°, β = 89.59°, γ = 59.77°
Positions (direct):
1 Sb 0.338 0.831 0.784
2 Sb 0.831 0.338 0.784
3 Sb 0.170 0.170 0.285
4 Li 0.329 0.329 0.601
5 Li 0.993 0.993 0.009
6 Li 0.994 0.994 0.494
7 Li 0.663 0.663 0.125
8 O 0.156 0.156 0.897
9 O 0.005 0.005 0.679
10 O 0.842 0.842 0.395
11 O 0.160 0.690 0.892
12 O 0.319 0.846 0.399
13 O 0.515 0.515 0.667
14 O 0.514 0.967 0.672
15 O 0.328 0.328 0.399
16 O 0.690 0.160 0.892
17 O 0.479 0.035 0.163
18 O 0.482 0.482 0.167
19 O 0.006 0.006 0.187
20 O 0.035 0.479 0.163
21 O 0.662 0.662 0.898
22 O 0.846 0.319 0.399
23 O 0.967 0.514 0.672
24 Ni 0.341 0.341 0.026
25 Ni 0.673 0.673 0.489
26 V 0.662 0.171 0.286
27 V 0.832 0.832 0.784
28 V 0.171 0.662 0.286